(1)
Below is a relaxed structure of Be3Cu2Si3O12, with properties calculated at the GGA-PBE level.

Geometry as POSCAR:
```
Be3Cu2Si3O12
1.0
7.559 0.000 0.000
0.005 8.012 0.000
0.010 0.008 13.777
Be Cu Si O
12 8 12 48
Direct
0.000 0.000 0.000
0.000 0.492 0.136
0.196 0.500 0.500
0.197 0.992 0.636
0.202 0.037 0.317
0.495 0.809 0.150
0.499 0.854 0.831
0.500 0.346 0.966
0.697 0.355 0.331
0.697 0.847 0.466
0.701 0.309 0.650
0.996 0.538 0.817
0.288 0.676 0.662
0.305 0.166 0.142
0.392 0.681 0.325
0.409 0.170 0.805
0.788 0.671 0.305
0.807 0.182 0.825
0.891 0.665 0.641
0.909 0.176 0.161
0.073 0.848 0.465
0.082 0.370 0.331
0.085 0.310 0.657
0.113 0.810 0.157
0.114 0.870 0.831
0.124 0.348 0.965
0.573 0.499 0.502
0.582 0.976 0.636
0.585 0.037 0.309
0.612 0.536 0.809
0.614 0.476 0.135
0.623 0.999 0.002
0.081 0.999 0.541
0.087 0.998 0.211
0.088 0.351 0.543
0.088 0.676 0.535
0.093 0.851 0.709
0.096 0.180 0.369
0.098 0.681 0.869
0.104 0.351 0.210
0.107 0.176 0.035
0.109 0.852 0.043
0.110 0.498 0.711
0.115 0.499 0.041
0.225 0.499 0.382
0.228 0.864 0.380
0.231 0.170 0.692
0.308 0.741 0.193
0.313 0.952 0.849
0.314 0.325 0.908
0.383 0.521 0.558
0.384 0.894 0.617
0.389 0.106 0.273
0.467 0.676 0.774
0.469 0.982 0.086
0.472 0.347 0.085
0.581 0.348 0.425
0.587 0.348 0.755
0.588 0.996 0.423
0.589 0.671 0.431
0.593 0.496 0.257
0.597 0.166 0.598
0.601 0.667 0.098
0.602 0.995 0.757
0.608 0.170 0.931
0.609 0.495 0.924
0.610 0.849 0.255
0.615 0.847 0.925
0.726 0.848 0.585
0.728 0.482 0.586
0.730 0.177 0.274
0.808 0.605 0.773
0.814 0.021 0.058
0.814 0.395 0.118
0.883 0.452 0.349
0.883 0.826 0.408
0.889 0.241 0.694
0.967 0.670 0.192
0.969 0.365 0.881
0.971 0.999 0.881
```

energy of formation from the pure elements = -234 kJ per mole of atoms
space-group type = No. 1
VASP energy = -541.002 eV/cell

***

(2)
Below is a relaxed structure of USeO6, with properties calculated at the GGA-PBE level.

Geometry as POSCAR:
```
USeO6
1.0
6.980 0.000 0.000
0.000 5.741 0.000
-3.337 0.000 13.075
U Se O
4 4 24
Direct
0.163 0.211 0.350
0.163 0.289 0.850
0.837 0.711 0.150
0.837 0.789 0.650
0.298 0.550 0.613
0.298 0.950 0.113
0.702 0.050 0.887
0.702 0.450 0.387
0.071 0.018 0.780
0.071 0.482 0.280
0.153 0.718 0.114
0.153 0.782 0.614
0.201 0.122 0.014
0.201 0.378 0.514
0.233 0.564 0.911
0.233 0.936 0.411
0.325 0.105 0.220
0.325 0.395 0.720
0.482 0.143 0.897
0.482 0.357 0.397
0.518 0.643 0.603
0.518 0.857 0.103
0.675 0.605 0.280
0.675 0.895 0.780
0.767 0.064 0.589
0.767 0.436 0.089
0.799 0.622 0.486
0.799 0.878 0.986
0.847 0.218 0.386
0.847 0.282 0.886
0.929 0.518 0.720
0.929 0.982 0.220
```

energy of formation from the pure elements = -225 kJ per mole of atoms
space-group type = No. 14
VASP energy = -235.938 eV/cell

***

(3)
Below is a relaxed structure of Ba3Sm, with properties calculated at the GGA-PBE level.

Geometry as POSCAR:
```
Ba3Sm
1.0
8.486 0.000 0.000
-4.243 7.349 0.000
0.000 0.000 6.748
Ba Sm
6 2
Direct
0.173 0.345 0.250
0.173 0.827 0.250
0.345 0.173 0.750
0.655 0.827 0.250
0.827 0.173 0.750
0.827 0.655 0.750
0.333 0.667 0.750
0.667 0.333 0.250
```

energy of formation from the pure elements = 19 kJ per mole of atoms
space-group type = No. 194
VASP energy = -19.373 eV/cell

***

(4)
Below is a relaxed structure of FeB2, with properties calculated at the GGA-PBE level.

Geometry as POSCAR:
```
FeB2
1.0
4.820 0.000 0.000
0.000 4.808 0.000
0.000 0.000 3.742
Fe B
4 8
Direct
0.020 0.250 0.124
0.480 0.750 0.624
0.520 0.250 0.376
0.980 0.750 0.876
0.161 0.069 0.607
0.161 0.431 0.607
0.339 0.569 0.107
0.339 0.931 0.107
0.661 0.069 0.893
0.661 0.431 0.893
0.839 0.569 0.393
0.839 0.931 0.393
```

energy of formation from the pure elements = -29 kJ per mole of atoms
space-group type = No. 62
VASP energy = -90.868 eV/cell

***

> Which formula does entry 3 have?

Ba3Sm